[1]
Below is a relaxed structure of Sr4TlCu2BiO10, with properties calculated at the GGA-PBE level.

Values from the calculation:
**Magnetization**: 0.093 μB/f.u.
**Energy relative to the elements**: -2.06 eV/atom

```
data_Sr4TlCu2BiO10
_chemical_formula_sum 'Sr8 Tl2 Cu4 Bi2 O20'
_space_group_name_H-M_alt 'I 4/m m m'
_space_group_IT_number 139
_space_group_name_Hall '-I 4 2'
_cell_length_a 5.289
_cell_length_b 5.289
_cell_length_c 18.265
_cell_angle_alpha 90.00
_cell_angle_beta 90.00
_cell_angle_gamma 90.00
loop_
_atom_site_label
_atom_site_type_symbol
_atom_site_fract_x
_atom_site_fract_y
_atom_site_fract_z
Sr1 Sr 0.000 0.500 0.148
Tl1 Tl 0.000 0.000 0.000
Cu1 Cu 0.000 0.000 0.253
Bi1 Bi 0.000 0.000 0.500
O1 O 0.000 0.000 0.114
O2 O 0.000 0.000 0.380
O3 O 0.000 0.500 0.000
O4 O 0.250 0.250 0.250
```

[2]
Below is a relaxed structure of Na2AgIrF6, with properties calculated at the GGA-PBE level.

Values from the calculation:
**Magnetization**: 0.000 μB/f.u.
**Energy relative to the elements**: -1.97 eV/atom

```
data_Na2AgIrF6
_chemical_formula_sum 'Na8 Ag4 Ir4 F24'
_space_group_name_H-M_alt 'F m -3 m'
_space_group_IT_number 225
_space_group_name_Hall '-F 4 2 3'
_cell_length_a 8.732
_cell_length_b 8.732
_cell_length_c 8.732
_cell_angle_alpha 90.00
_cell_angle_beta 90.00
_cell_angle_gamma 90.00
loop_
_atom_site_label
_atom_site_type_symbol
_atom_site_fract_x
_atom_site_fract_y
_atom_site_fract_z
Na1 Na 0.250 0.250 0.250
Ag1 Ag 0.000 0.000 0.000
Ir1 Ir 0.000 0.000 0.500
F1 F 0.000 0.000 0.267
```

[3]
Below is a relaxed structure of Tl2Ge2Se5, with properties calculated at the GGA-PBE level.

Values from the calculation:
**Energy relative to the elements**: -0.61 eV/atom

```
data_Tl2Ge2Se5
_chemical_formula_sum 'Tl16 Ge16 Se40'
_space_group_name_H-M_alt 'C 1 2/c 1'
_space_group_IT_number 15
_space_group_name_Hall '-C 2yc'
_cell_length_a 16.070
_cell_length_b 15.996
_cell_length_c 9.284
_cell_angle_alpha 90.00
_cell_angle_beta 106.43
_cell_angle_gamma 90.00
loop_
_atom_site_label
_atom_site_type_symbol
_atom_site_fract_x
_atom_site_fract_y
_atom_site_fract_z
Tl1 Tl 0.140 0.062 0.096
Tl2 Tl 0.173 0.371 0.403
Ge1 Ge 0.067 0.203 0.610
Ge2 Ge 0.106 0.373 0.908
Se1 Se 0.000 0.109 0.750
Se2 Se 0.000 0.465 0.750
Se3 Se 0.045 0.284 0.062
Se4 Se 0.123 0.121 0.454
Se5 Se 0.180 0.287 0.768
Se6 Se 0.213 0.454 0.070
```

Look up the energy relative to the elements of the third one. -0.61 eV/atom

Number 3 is which compound? Tl2Ge2Se5